{
  "formula": "YbAs4Rh6",
  "functional": "r2SCAN",
  "state": "relaxed",
  "lattice": [[3.606, -6.245, 0.000], [3.606, 6.245, 0.000], [0.000, 0.000, 3.774]],
  "species": ["As", "As", "As", "As", "Rh", "Rh", "Rh", "Rh", "Rh", "Rh", "Yb"],
  "fractional_positions": [[0.811, 0.189, 0.500], [0.811, 0.623, 0.500], [0.377, 0.189, 0.500], [0.333, 0.667, 0.000], [0.195, 0.805, 0.500], [0.533, 0.067, 0.000], [0.609, 0.805, 0.500], [0.533, 0.467, 0.000], [0.933, 0.467, 0.000], [0.195, 0.391, 0.500], [0.000, 0.000, 0.000]],
  "total_energy_ev_per_fu": -248.4,
  "magnetic_moment_mub_per_fu": 0.00
}

{
  "formula": "RbAlH4",
  "functional": "r2SCAN",
  "state": "relaxed",
  "lattice": [[-1.109, 2.980, 4.863], [-6.117, -4.274, 1.225], [5.195, -6.036, 4.884]],
  "species": ["Rb", "Rb", "Rb", "Rb", "Al", "Al", "Al", "Al", "H", "H", "H", "H", "H", "H", "H", "H", "H", "H", "H", "H", "H", "H", "H", "H"],
  "fractional_positions": [[0.250, 0.660, 0.181], [0.750, 0.340, 0.819], [0.250, 0.840, 0.681], [0.750, 0.160, 0.319], [0.250, 0.314, 0.562], [0.750, 0.686, 0.438], [0.250, 0.186, 0.062], [0.750, 0.814, 0.938], [0.250, 0.040, 0.189], [0.750, 0.899, 0.097], [0.524, 0.688, 0.920], [0.750, 0.601, 0.597], [0.476, 0.188, 0.580], [0.250, 0.399, 0.403], [0.250, 0.101, 0.903], [0.250, 0.460, 0.689], [0.976, 0.812, 0.420], [0.476, 0.312, 0.080], [0.976, 0.688, 0.920], [0.750, 0.540, 0.311], [0.524, 0.812, 0.420], [0.024, 0.188, 0.580], [0.024, 0.312, 0.080], [0.750, 0.960, 0.811]],
  "total_energy_ev_per_fu": -36.2,
  "magnetic_moment_mub_per_fu": 0.00
}

{
  "formula": "Sb2Cl7F3",
  "functional": "r2SCAN",
  "state": "relaxed",
  "lattice": [[-8.326, -3.520, -4.482], [-3.519, -9.087, -2.618], [-10.015, -7.008, 4.900]],
  "species": ["Sb", "Sb", "Sb", "Sb", "Cl", "Cl", "Cl", "Cl", "Cl", "Cl", "Cl", "Cl", "Cl", "Cl", "Cl", "Cl", "Cl", "Cl", "F", "F", "F", "F", "F", "F"],
  "fractional_positions": [[0.273, 0.158, 0.830], [0.977, 0.936, 0.261], [0.064, 0.023, 0.739], [0.842, 0.727, 0.170], [0.688, 0.611, 0.411], [0.701, 0.232, 0.192], [0.740, 0.670, 0.095], [0.557, 0.836, 0.845], [0.365, 0.716, 0.740], [0.284, 0.635, 0.260], [0.164, 0.443, 0.155], [0.921, 0.952, 0.710], [0.389, 0.312, 0.589], [0.768, 0.299, 0.808], [0.048, 0.079, 0.290], [0.797, 0.812, 0.492], [0.330, 0.260, 0.905], [0.188, 0.203, 0.508], [0.979, 0.863, 0.961], [0.944, 0.819, 0.195], [0.181, 0.056, 0.805], [0.137, 0.021, 0.039], [0.625, 0.997, 0.150], [0.003, 0.375, 0.850]],
  "total_energy_ev_per_fu": -119.0,
  "magnetic_moment_mub_per_fu": 0.00
}

{
  "formula": "V4O3F9",
  "functional": "r2SCAN",
  "state": "relaxed",
  "lattice": [[-5.059, 0.018, 0.023], [0.084, 5.289, 0.039], [0.030, -0.371, -7.350]],
  "species": ["V", "V", "V", "V", "F", "F", "F", "F", "F", "F", "F", "F", "F", "O", "O", "O"],
  "fractional_positions": [[0.035, 0.029, 0.993], [0.525, 0.537, 0.006], [0.982, 0.969, 0.494], [0.503, 0.496, 0.498], [0.189, 0.286, 0.546], [0.691, 0.193, 0.439], [0.791, 0.294, 0.067], [0.114, 0.985, 0.248], [0.384, 0.509, 0.250], [0.202, 0.704, 0.937], [0.605, 0.481, 0.751], [0.301, 0.795, 0.559], [0.885, 0.014, 0.751], [0.794, 0.705, 0.462], [0.709, 0.791, 0.044], [0.289, 0.213, 0.956]],
  "total_energy_ev_per_fu": -150.7,
  "magnetic_moment_mub_per_fu": 5.00,
  "de_polymorph_ev_per_atom": 0.024
}

{
  "formula": "Ti4Bi2O11",
  "functional": "r2SCAN",
  "state": "relaxed",
  "lattice": [[1.891, 7.362, -0.010], [-1.891, 7.362, -0.010], [0.000, 6.910, 7.447]],
  "species": ["Bi", "Bi", "O", "O", "O", "O", "O", "O", "O", "O", "O", "O", "O", "Ti", "Ti", "Ti", "Ti"],
  "fractional_positions": [[0.110, 0.110, 0.141], [0.890, 0.890, 0.859], [0.500, 0.500, 0.000], [0.201, 0.201, 0.760], [0.374, 0.374, 0.355], [0.855, 0.855, 0.570], [0.291, 0.291, 0.050], [0.145, 0.145, 0.430], [0.709, 0.709, 0.950], [0.626, 0.626, 0.645], [0.564, 0.564, 0.331], [0.799, 0.799, 0.240], [0.436, 0.436, 0.669], [0.663, 0.663, 0.782], [0.381, 0.381, 0.532], [0.337, 0.337, 0.218], [0.619, 0.619, 0.468]],
  "total_energy_ev_per_fu": -281.2,
  "magnetic_moment_mub_per_fu": 0.00
}

{
  "formula": "CeHgPd",
  "functional": "r2SCAN",
  "state": "relaxed",
  "lattice": [[3.897, -6.763, 0.000], [3.908, 6.759, 0.000], [0.000, 0.000, 3.963]],
  "species": ["Pd", "Pd", "Pd", "Ce", "Ce", "Ce", "Hg", "Hg", "Hg"],
  "fractional_positions": [[0.667, 0.333, 0.000], [0.000, 0.000, 0.500], [0.333, 0.667, 0.000], [0.000, 0.600, 0.500], [0.400, 0.400, 0.500], [0.600, 0.000, 0.500], [0.738, 0.738, 0.000], [0.000, 0.262, 0.000], [0.262, 0.000, 0.000]],
  "total_energy_ev_per_fu": -105.3,
  "magnetic_moment_mub_per_fu": 1.22
}